# 1
A relaxed structure of PmY3. Source: Materials Project, functional r2SCAN.

Cell lengths 5.1207, 5.1207, 10.2262 Å; angles 90.00, 90.00, 90.00 degrees
Space group I4/mmm (No. 139)
Inequivalent atoms, fractional coordinates:
Pm 0.0000 0.0000 0.0000
Y 0.0000 0.0000 0.5000
Y 0.0000 0.5000 0.2500

crystal system	tetragonal
magnetization	0.0	μB per cell
ΔH_f (0 K)	0.29	eV/f.u.
distance to the lowest polymorph of the same formula	64	meV per atom

# 2
A relaxed structure of Rb2Cr2O7. Source: Materials Project, functional r2SCAN.

Cell lengths 7.6630, 7.5920, 15.2140 Å; angles 90.00, 116.24, 90.00 degrees
Space group P2_1/c (No. 14)
Inequivalent atoms, fractional coordinates:
Rb 0.0152 0.1175 0.1581
Rb 0.4386 0.7264 0.6366
Cr 0.1014 0.1630 0.4197
Cr 0.4943 0.2137 0.6099
O 0.0191 0.7080 0.5420
O 0.0335 0.5019 0.1424
O 0.1726 0.2233 0.8512
O 0.3105 0.0804 0.5215
O 0.3553 0.5857 0.8055
O 0.3951 0.1524 0.1576
O 0.3956 0.6752 0.4411

crystal system	monoclinic
magnetization	0.0	μB per cell
ΔH_f (0 K)	-22.10	eV/f.u.
distance to the lowest polymorph of the same formula	1	meV per atom

# 3
A relaxed structure of CaH4Cl2O2. Source: Materials Project, functional r2SCAN.

Cell lengths 5.8857, 7.4507, 11.9760 Å; angles 90.00, 90.00, 90.00 degrees
Space group Pbcn (No. 60)
Inequivalent atoms, fractional coordinates:
Ca 0.0000 0.2198 0.2500
H 0.0828 0.2244 0.6135
H 0.2346 0.3487 0.5384
Cl 0.2181 0.0510 0.8662
O 0.2291 0.2861 0.6098

crystal system	orthorhombic
magnetization	0.0	μB per cell
ΔH_f (0 K)	-14.37	eV/f.u.

# 4
A relaxed structure of KSi3As3. Source: Materials Project, functional r2SCAN.

Cell lengths 10.0824, 19.2957, 3.6822 Å; angles 90.00, 90.00, 90.00 degrees
Space group Pbam (No. 55)
Inequivalent atoms, fractional coordinates:
K 0.1930 0.1959 0.0000
Si 0.0930 0.4642 0.5000
Si 0.1118 0.9852 0.0000
Si 0.1735 0.8683 0.0000
As 0.0879 0.3863 0.0000
As 0.1018 0.8036 0.5000
As 0.2182 0.0407 0.5000

crystal system	orthorhombic
magnetization	0.0	μB per cell
ΔH_f (0 K)	-2.30	eV/f.u.

# 5
A relaxed structure of Ho2CuRu. Source: Materials Project, functional r2SCAN.

Cell lengths 6.7770, 6.7770, 6.7770 Å; angles 90.00, 90.00, 90.00 degrees
Space group Fm-3m (No. 225)
Inequivalent atoms, fractional coordinates:
Ho 0.2500 0.2500 0.2500
Cu 0.0000 0.0000 0.0000
Ru 0.0000 0.0000 0.5000

crystal system	cubic
magnetization	0.0	μB per cell
ΔH_f (0 K)	-1.54	eV/f.u.

# 6
A relaxed structure of Li2CoSiO4. Source: Materials Project, functional r2SCAN.

Cell lengths 10.7261, 6.1384, 5.0149 Å; angles 90.00, 90.00, 90.00 degrees
Space group Pnma (No. 62)
Inequivalent atoms, fractional coordinates:
Li 0.1690 0.0052 0.2003
Co 0.0766 0.7500 0.8070
Si 0.0857 0.2500 0.6902
O 0.0590 0.7500 0.2080
O 0.0870 0.2500 0.3632
O 0.1598 0.0344 0.7995

crystal system	orthorhombic
magnetization	12.0	μB per cell
ΔH_f (0 K)	-18.92	eV/f.u.

# 7
A relaxed structure of Sm2Re3Si5. Source: Materials Project, functional r2SCAN.

Cell lengths 10.9869, 10.9869, 5.6267 Å; angles 90.00, 90.00, 90.00 degrees
Space group P4/mnc (No. 128)
Inequivalent atoms, fractional coordinates:
Sm 0.0779 0.2372 0.0000
Re 0.0000 0.5000 0.2500
Re 0.1252 0.8515 0.5000
Si 0.0000 0.0000 0.2598
Si 0.0242 0.3155 0.5000
Si 0.1716 0.6716 0.2500

crystal system	tetragonal
magnetization	0.0	μB per cell
ΔH_f (0 K)	-6.28	eV/f.u.

# 8
A relaxed structure of K2Cd3Se4. Source: Materials Project, functional r2SCAN.

Cell lengths 14.4055, 10.7066, 6.9090 Å; angles 90.00, 90.00, 90.00 degrees
Space group Pnma (No. 62)
Inequivalent atoms, fractional coordinates:
K 0.0000 0.0000 0.0000
K 0.0332 0.2500 0.4801
Cd 0.2031 0.7500 0.2280
Cd 0.2466 0.0939 0.1631
Se 0.1329 0.5320 0.3862
Se 0.1386 0.2500 0.9307
Se 0.1443 0.7500 0.8700

crystal system	orthorhombic
magnetization	0.0	μB per cell
ΔH_f (0 K)	-9.06	eV/f.u.

# 9
A relaxed structure of NaTiF4. Source: Materials Project, functional r2SCAN.

Cell lengths 5.0200, 5.7425, 10.8570 Å; angles 90.00, 90.00, 90.00 degrees
Space group Pbcn (No. 60)
Inequivalent atoms, fractional coordinates:
Na 0.0000 0.0000 0.0000
Ti 0.0000 0.3424 0.2500
F 0.1762 0.3159 0.0966
F 0.2445 0.0840 0.3152

crystal system	orthorhombic
magnetization	4.0	μB per cell
ΔH_f (0 K)	-20.64	eV/f.u.

# 10
A relaxed structure of Li9Mn2Co5O16. Source: Materials Project, functional r2SCAN.

Cell lengths 5.6775, 5.6205, 8.0083 Å; angles 90.00, 91.20, 90.00 degrees
Space group P2/m (No. 10)
Inequivalent atoms, fractional coordinates:
Li 0.0000 0.0000 0.0000
Li 0.0000 0.0000 0.5000
Li 0.0000 0.5000 0.0000
Li 0.2443 0.2419 0.2626
Li 0.5000 0.0000 0.5000
Li 0.5000 0.5000 0.5000
Mn 0.0000 0.5000 0.5000
Mn 0.5000 0.0000 0.0000
Co 0.2476 0.2488 0.7482
Co 0.5000 0.5000 0.0000
O 0.0180 0.5000 0.7399
O 0.0227 0.0000 0.7534
O 0.2380 0.2625 0.5113
O 0.2716 0.2489 0.9921
O 0.4793 0.5000 0.7628
O 0.4812 0.0000 0.7614

crystal system	monoclinic
magnetization	6.0	μB per cell
ΔH_f (0 K)	-62.03	eV/f.u.
distance to the lowest polymorph of the same formula	21	meV per atom

# 11
A relaxed structure of SrMgTl2. Source: Materials Project, functional r2SCAN.

Cell lengths 7.6873, 7.6873, 7.6873 Å; angles 90.00, 90.00, 90.00 degrees
Space group Fm-3m (No. 225)
Inequivalent atoms, fractional coordinates:
Sr 0.0000 0.0000 0.0000
Mg 0.0000 0.0000 0.5000
Tl 0.2500 0.2500 0.2500

crystal system	cubic
magnetization	0.0	μB per cell
ΔH_f (0 K)	-1.28	eV/f.u.

# 12
A relaxed structure of YbNiC2. Source: Materials Project, functional r2SCAN.

Cell lengths 3.4702, 4.4616, 5.9222 Å; angles 90.00, 90.00, 90.00 degrees
Space group Amm2 (No. 38)
Inequivalent atoms, fractional coordinates:
Yb 0.0000 0.0000 0.0000
Ni 0.5000 0.0000 0.6096
C 0.5000 0.1540 0.2996

crystal system	orthorhombic
magnetization	0.0	μB per cell
ΔH_f (0 K)	-1.86	eV/f.u.